TiO2 | GGA-PBE | optimized geometry

Output
Space-group type: No. 1
DFT formation energy in eV/f.u.: -9.99
Crystal system: triclinic
M_tot in μB/atom: 0.000

Lattice parameters (Å, degrees): 10.3266 10.3645 10.6308 88.21 86.01 88.83
Closest atoms and distances in Å follow each position.
Element x y z (fractional)
Ti1 0.0000 0.0000 0.0000  4 O 1.81-1.97
Ti2 0.0012 0.8151 0.5380  3 O 1.82-1.91
Ti3 0.0563 0.3901 0.7384  5 O 1.89-2.05
Ti4 0.1045 0.0785 0.6473  4 O 1.81-1.98
Ti5 0.1492 0.7161 0.7407  4 O 1.83-1.93
Ti6 0.1772 0.5490 0.0217  5 O 1.80-2.01
Ti7 0.1893 0.3111 0.4025  5 O 1.86-2.05
Ti8 0.2338 0.8548 0.1367  2 O 1.80-1.85
Ti9 0.2781 0.6540 0.4210  4 O 1.77-1.98
Ti10 0.3116 0.3377 0.8487  5 O 1.85-1.99
Ti11 0.3842 0.2005 0.5945  4 O 1.82-2.00
Ti12 0.3962 0.1743 0.1254  3 O 1.78-1.91
Ti13 0.4154 0.9128 0.6959  5 O 1.81-2.01
Ti14 0.4423 0.3956 0.3015  5 O 1.87-2.04
Ti15 0.4688 0.6131 0.6912  3 O 1.78-1.98
Ti16 0.4881 0.8620 0.2154  6 O 1.92-2.03
Ti17 0.5048 0.6190 0.0236  4 O 1.85-2.04
Ti18 0.5700 0.1230 0.8387  4 O 1.81-1.84
Ti19 0.6716 0.8223 0.4871  4 O 1.82-1.90
Ti20 0.6824 0.5680 0.2717  1 O 1.73
Ti21 0.6862 0.3693 0.5259  3 O 1.73-1.92
Ti22 0.6958 0.1709 0.1302  6 O 1.94-2.06
Ti23 0.7525 0.8949 0.2078  4 O 1.86-1.96
Ti24 0.7688 0.5958 0.7224  4 O 1.84-1.92
Ti25 0.8394 0.5022 0.0275  3 O 1.77-1.94
Ti26 0.8513 0.0778 0.4337  2 O 1.74-1.80
Ti27 0.8718 0.1907 0.8340  5 O 1.82-1.98
Ti28 0.9452 0.5275 0.4980  3 O 1.74-1.95
Ti29 0.9914 0.2838 0.1655  4 O 1.80-1.89
Ti30 0.9912 0.7447 0.2381  4 O 1.86-2.06
O1 0.0080 0.8247 0.7078  2 Ti 1.82-1.87
O2 0.0075 0.9988 0.5159  3 Ti 1.91-2.03
O3 0.0288 0.6674 0.3985  2 Ti 1.92-1.95
O4 0.0442 0.4426 0.1034  2 Ti 1.83-1.92
O5 0.0460 0.1470 0.0719  2 Ti 1.81
O6 0.0458 0.2446 0.3199  2 Ti 1.80-1.92
O7 0.0792 0.4054 0.5128  2 Ti 1.86-1.87
O8 0.0889 0.5638 0.6881  2 Ti 1.83-1.89
O9 0.0951 0.8877 0.2519  2 Ti 1.85-1.86
O10 0.1277 0.6705 0.9092  2 Ti 1.80-1.84
O11 0.1466 0.6807 0.1485  3 Ti 1.92-2.03
O12 0.1535 0.4248 0.8837  3 Ti 1.87-2.01
O13 0.1605 0.9157 0.9979  2 Ti 1.80-1.86
O14 0.1752 0.7634 0.5413  2 Ti 1.87-1.98
O15 0.2067 0.1594 0.5142  2 Ti 1.89-1.95
O16 0.2202 0.2830 0.7123  2 Ti 1.89-2.01
O17 0.2404 0.9935 0.7133  2 Ti 1.81-1.98
O18 0.2626 0.4947 0.3421  1 Ti 1.89
O19 0.3027 0.2806 0.2397  3 Ti 1.87-2.05
O20 0.3094 0.2315 0.9952  2 Ti 1.78-1.88
O21 0.3328 0.7462 0.7407  3 Ti 1.93-2.00
O22 0.3445 0.7834 0.3114  2 Ti 1.86-1.92
O23 0.3553 0.9990 0.1670  3 Ti 1.91-2.03
O24 0.3558 0.5177 0.0135  2 Ti 1.86-1.89
O25 0.3707 0.3217 0.4602  3 Ti 1.88-2.02
O26 0.3958 0.4728 0.7624  2 Ti 1.78-1.85
O27 0.3960 0.6094 0.5277  2 Ti 1.77-1.94
O28 0.4109 0.7709 0.0732  3 Ti 1.90-2.09
O29 0.4348 0.2078 0.7719  3 Ti 1.81-2.00
O30 0.4448 0.0373 0.5665  2 Ti 1.82-1.87
O31 0.4992 0.5491 0.2217  2 Ti 1.87-2.02
O32 0.5148 0.9573 0.8211  2 Ti 1.81-1.84
O33 0.5417 0.2548 0.2102  3 Ti 1.95-2.01
O34 0.5527 0.7917 0.6222  2 Ti 1.85-2.01
O35 0.5588 0.1826 0.9984  1 Ti 1.82
O36 0.5590 0.2706 0.5757  1 Ti 1.73
O37 0.5625 0.6402 0.8561  1 Ti 1.85
O38 0.5830 0.8963 0.3600  2 Ti 1.82-1.93
O39 0.6079 0.4157 0.3759  3 Ti 1.88-2.03
O40 0.6143 0.9954 0.1416  3 Ti 1.91-2.02
O41 0.6329 0.5218 0.6388  3 Ti 1.90-2.06
O42 0.6401 0.7530 0.1685  2 Ti 1.96
O43 0.6639 0.6639 0.4024  2 Ti 1.73-1.90
O44 0.6683 0.5127 0.0535  1 Ti 1.77
O45 0.7195 0.1852 0.7590  2 Ti 1.82-1.83
O46 0.7488 0.9754 0.5355  2 Ti 1.80-1.89
O47 0.7929 0.0803 0.2630  3 Ti 1.95-2.09
O48 0.8072 0.2306 0.4858  2 Ti 1.74-1.92
O49 0.8097 0.1086 0.9908  2 Ti 1.92-1.94
O50 0.8146 0.3177 0.1373  2 Ti 1.89-1.98
O51 0.8358 0.4757 0.3937  1 Ti 1.74
O52 0.8394 0.5991 0.8764  2 Ti 1.84-1.87
O53 0.8429 0.6989 0.5840  2 Ti 1.92-2.07
O54 0.8483 0.8374 0.3477  2 Ti 1.92-2.06
O55 0.8586 0.6104 0.1708  3 Ti 1.94-2.15
O56 0.8645 0.4551 0.6575  2 Ti 1.87-1.97
O57 0.8991 0.8680 0.0995  2 Ti 1.86-1.97
O58 0.9181 0.3526 0.8826  2 Ti 1.85-2.05
O59 0.9896 0.2245 0.6844  3 Ti 1.94-1.98
O60 0.9942 0.0412 0.8317  2 Ti 1.83-1.98

TiO2 | GGA-PBE | optimized geometry

Output
Space-group type: No. 2
DFT formation energy in eV/f.u.: -10.39
Crystal system: triclinic

Lattice parameters (Å, degrees): 3.7820 6.4900 6.5086 85.15 73.18 73.39
Closest atoms and distances in Å follow each position.
Element x y z (fractional)
Ti1 0.0207 0.1910 0.2725  4 O 1.77-1.97
Ti2 0.2952 0.2272 0.6906  4 O 1.77-1.97
Ti3 0.7048 0.7728 0.3094  4 O 1.77-1.97
Ti4 0.9793 0.8090 0.7275  4 O 1.77-1.97
O1 0.1508 0.8532 0.3398  3 Ti 1.96-2.14
O2 0.1563 0.5113 0.6805  2 Ti 1.77-1.88
O3 0.1699 0.1818 0.9884  2 Ti 1.77-1.88
O4 0.4953 0.1587 0.3524  3 Ti 1.96-2.15
O5 0.5047 0.8413 0.6476  3 Ti 1.96-2.15
O6 0.8301 0.8182 0.0116  2 Ti 1.77-1.88
O7 0.8437 0.4887 0.3195  2 Ti 1.77-1.88
O8 0.8492 0.1468 0.6602  3 Ti 1.96-2.14

TiO2 | GGA-PBE | optimized geometry

Output
Space-group type: No. 1
DFT formation energy in eV/f.u.: -9.96
Crystal system: triclinic
M_tot in μB/atom: 0.000

Lattice parameters (Å, degrees): 10.2696 10.5690 10.5804 90.48 91.00 90.37
Closest atoms and distances in Å follow each position.
Element x y z (fractional)
Ti1 0.0000 0.0000 0.0000  4 O 1.85-1.99
Ti2 0.0010 0.7693 0.2557  3 O 1.80-1.83
Ti3 0.0493 0.0174 0.5103  6 O 1.93-2.09
Ti4 0.0662 0.6194 0.6117  4 O 1.79-1.93
Ti5 0.1296 0.3373 0.4512  3 O 1.81-2.00
Ti6 0.1441 0.4780 0.8752  4 O 1.80-1.96
Ti7 0.1664 0.1515 0.7504  2 O 1.75-1.95
Ti8 0.1820 0.0921 0.2788  4 O 1.79-1.93
Ti9 0.1872 0.4318 0.1458  4 O 1.78-1.98
Ti10 0.2779 0.1418 0.0180  5 O 1.82-2.01
Ti11 0.2933 0.8592 0.7054  4 O 1.85-1.92
Ti12 0.3061 0.7916 0.4201  4 O 1.84-2.03
Ti13 0.3765 0.6518 0.9476  3 O 1.79-1.94
Ti14 0.3907 0.4726 0.6429  4 O 1.77-1.89
Ti15 0.4762 0.5472 0.3026  4 O 1.80-1.86
Ti16 0.5066 0.0127 0.4845  3 O 1.80-1.89
Ti17 0.5118 0.8942 0.9642  5 O 1.89-2.03
Ti18 0.5212 0.1162 0.8002  3 O 1.83-1.99
Ti19 0.5263 0.0984 0.1879  5 O 1.87-2.09
Ti20 0.5939 0.3793 0.0160  4 O 1.79-1.89
Ti21 0.6203 0.8072 0.2739  4 O 1.79-1.99
Ti22 0.6290 0.6776 0.7270  4 O 1.82-1.90
Ti23 0.6760 0.2773 0.3532  2 O 1.77-1.86
Ti24 0.6926 0.3190 0.6903  4 O 1.79-1.95
Ti25 0.7954 0.8435 0.5204  4 O 1.82-1.99
Ti26 0.8108 0.9880 0.7792  4 O 1.84-1.99
Ti27 0.8269 0.5133 0.5101  2 O 1.75-1.90
Ti28 0.8602 0.0175 0.2467  4 O 1.80-1.99
Ti29 0.8886 0.4637 0.1860  4 O 1.89-2.00
Ti30 0.9304 0.2907 0.9112  4 O 1.74-1.94
O1 0.0032 0.4635 0.5360  3 Ti 1.90-2.08
O2 0.0128 0.4041 0.0346  3 Ti 1.94-2.16
O3 0.0327 0.8978 0.1456  2 Ti 1.83-1.92
O4 0.0486 0.5853 0.7801  2 Ti 1.80-1.83
O5 0.0697 0.4098 0.2824  2 Ti 1.91-2.04
O6 0.0856 0.3092 0.8197  3 Ti 1.89-2.01
O7 0.0953 0.1959 0.5708  3 Ti 2.00-2.08
O8 0.1163 0.1278 0.1164  2 Ti 1.88-1.98
O9 0.1575 0.0509 0.9059  3 Ti 1.94-1.99
O10 0.1662 0.7381 0.3145  2 Ti 1.83-1.89
O11 0.1672 0.9867 0.6664  3 Ti 1.92-2.06
O12 0.1934 0.7370 0.5727  1 Ti 1.85
O13 0.2017 0.9709 0.4135  2 Ti 1.93-1.95
O14 0.2126 0.5653 0.0179  3 Ti 1.89-2.06
O15 0.2348 0.2360 0.3557  2 Ti 1.79-1.84
O16 0.2555 0.4332 0.5261  2 Ti 1.81-1.89
O17 0.2658 0.3117 0.0417  2 Ti 1.82-1.87
O18 0.2839 0.7261 0.8173  2 Ti 1.85
O19 0.2966 0.4714 0.7908  2 Ti 1.82-1.85
O20 0.3239 0.1923 0.8018  1 Ti 1.75
O21 0.3324 0.4788 0.2290  2 Ti 1.78-1.80
O22 0.3392 0.0747 0.1854  3 Ti 1.92-2.01
O23 0.3832 0.7937 0.0410  2 Ti 1.79-1.89
O24 0.3981 0.6433 0.4203  2 Ti 1.80-1.84
O25 0.3998 0.8720 0.5672  3 Ti 1.85-2.05
O26 0.4090 0.9451 0.8151  2 Ti 1.87-1.96
O27 0.4582 0.0881 0.9920  4 Ti 1.96-2.18
O28 0.4602 0.8832 0.3435  3 Ti 1.99-2.06
O29 0.4739 0.6261 0.6574  2 Ti 1.82-1.83
O30 0.4771 0.0982 0.6325  2 Ti 1.83
O31 0.4831 0.5072 0.9912  2 Ti 1.79-1.94
O32 0.5091 0.1482 0.3696  2 Ti 1.89-2.00
O33 0.5176 0.3605 0.6477  2 Ti 1.77-1.90
O34 0.5589 0.7293 0.8844  2 Ti 1.90-2.00
O35 0.5661 0.2670 0.1510  2 Ti 1.87-1.89
O36 0.5702 0.6595 0.2043  2 Ti 1.79-1.86
O37 0.5722 0.4199 0.3662  2 Ti 1.80-1.86
O38 0.5810 0.9354 0.1282  3 Ti 1.91-2.10
O39 0.5883 0.2794 0.8715  2 Ti 1.85-1.99
O40 0.6482 0.9900 0.8655  3 Ti 1.92-2.03
O41 0.6775 0.9769 0.4890  2 Ti 1.80-1.89
O42 0.6844 0.7394 0.4311  2 Ti 1.82-1.92
O43 0.7073 0.1511 0.7069  1 Ti 1.79
O44 0.7103 0.0998 0.2752  1 Ti 1.80
O45 0.7202 0.5416 0.6656  2 Ti 1.84-2.01
O46 0.7247 0.8210 0.6888  2 Ti 1.85-1.95
O47 0.7544 0.4470 0.0625  2 Ti 1.85-1.89
O48 0.7581 0.3332 0.5187  3 Ti 1.95-2.03
O49 0.7924 0.8498 0.2257  2 Ti 1.90-1.91
O50 0.8143 0.3172 0.2643  2 Ti 1.77-1.92
O51 0.8254 0.5401 0.3475  1 Ti 1.75
O52 0.8262 0.3698 0.8075  2 Ti 1.74-1.91
O53 0.8705 0.0828 0.0874  2 Ti 1.83-1.85
O54 0.9076 0.9801 0.6219  3 Ti 1.93-2.12
O55 0.9096 0.8923 0.8883  2 Ti 1.84-1.87
O56 0.9121 0.6841 0.5654  1 Ti 1.79
O57 0.9199 0.1239 0.8589  2 Ti 1.85-1.99
O58 0.9449 0.8785 0.4081  3 Ti 1.99-2.09
O59 0.9608 0.6268 0.1679  2 Ti 1.80-1.89
O60 0.9986 0.1033 0.3510  3 Ti 1.98-2.05

TiO | GGA-PBE | optimized geometry

Output
Space-group type: No. 189
DFT formation energy in eV/f.u.: -5.82
Crystal system: hexagonal

Lattice parameters (Å, degrees): 5.0185 5.0185 2.8820 90.00 90.00 120.00
Closest atoms and distances in Å follow each position.
Element x y z (fractional)
Ti1 0.0000 0.0000 0.0000  3 O 1.98
Ti2 0.3333 0.6667 0.5000  6 O 2.11
Ti3 0.6667 0.3333 0.5000  6 O 2.11
O1 0.0000 0.3940 0.0000  5 Ti 1.98-2.11
O2 0.3940 0.0000 0.0000  5 Ti 1.98-2.11
O3 0.6060 0.6060 0.0000  5 Ti 1.98-2.11

Ti13O22 | GGA-PBE | optimized geometry

Output
Space-group type: No. 64
DFT formation energy in eV/f.u.: -118.30
Crystal system: orthorhombic

Lattice parameters (Å, degrees): 7.7080 7.7080 14.0969 90.00 90.00 82.40
Closest atoms and distances in Å follow each position.
Element x y z (fractional)
Ti1 0.0000 0.0000 0.0000  6 O 2.03-2.08
Ti2 0.0561 0.2008 0.8183  6 O 1.97-2.11
Ti3 0.0572 0.4248 0.1503  6 O 1.91-2.12
Ti4 0.0752 0.4428 0.3497  6 O 1.91-2.12
Ti5 0.1591 0.8409 0.6574  4 O 1.91-2.09
Ti6 0.2008 0.0561 0.1817  6 O 1.97-2.11
Ti7 0.2340 0.2340 0.5000  6 O 1.98-2.14
Ti8 0.2660 0.2660 0.0000  6 O 1.98-2.14
Ti9 0.2992 0.4439 0.6817  6 O 1.97-2.11
Ti10 0.3409 0.6591 0.1574  4 O 1.91-2.09
Ti11 0.4248 0.0572 0.8497  6 O 1.91-2.12
Ti12 0.4428 0.0752 0.6503  6 O 1.91-2.12
Ti13 0.4439 0.2992 0.3183  6 O 1.97-2.11
Ti14 0.5000 0.5000 0.5000  6 O 2.03-2.08
Ti15 0.5561 0.7008 0.6817  6 O 1.97-2.11
Ti16 0.5572 0.9248 0.3497  6 O 1.91-2.12
Ti17 0.5752 0.9428 0.1503  6 O 1.91-2.12
Ti18 0.6591 0.3409 0.8426  4 O 1.91-2.09
Ti19 0.7008 0.5561 0.3183  6 O 1.97-2.11
Ti20 0.7340 0.7340 0.0000  6 O 1.98-2.14
Ti21 0.7660 0.7660 0.5000  6 O 1.98-2.14
Ti22 0.7992 0.9439 0.8183  6 O 1.97-2.11
Ti23 0.8409 0.1591 0.3426  4 O 1.91-2.09
Ti24 0.9248 0.5572 0.6503  6 O 1.91-2.12
Ti25 0.9428 0.5752 0.8497  6 O 1.91-2.12
Ti26 0.9439 0.7992 0.1817  6 O 1.97-2.11
O1 0.0103 0.9897 0.7485  3 Ti 1.97-1.98
O2 0.0274 0.2232 0.4182  3 Ti 1.91-2.02
O3 0.0463 0.2074 0.0804  4 Ti 1.96-2.14
O4 0.0987 0.3942 0.9090  3 Ti 1.91-2.02
O5 0.1058 0.4013 0.5910  3 Ti 1.91-2.02
O6 0.1159 0.6200 0.2419  4 Ti 1.98-2.16
O7 0.1200 0.6159 0.7419  4 Ti 1.98-2.16
O8 0.1517 0.8483 0.0990  4 Ti 2.06-2.09
O9 0.2074 0.0463 0.9196  4 Ti 1.96-2.14
O10 0.2219 0.2781 0.2500  4 Ti 1.99-2.12
O11 0.2232 0.0274 0.5818  3 Ti 1.91-2.02
O12 0.2768 0.4726 0.0818  3 Ti 1.91-2.02
O13 0.2781 0.2219 0.7500  4 Ti 1.99-2.12
O14 0.2926 0.4537 0.4196  4 Ti 1.96-2.14
O15 0.3483 0.6517 0.5990  4 Ti 2.06-2.09
O16 0.3800 0.8841 0.2419  4 Ti 1.98-2.16
O17 0.3841 0.8800 0.7419  4 Ti 1.98-2.16
O18 0.3942 0.0987 0.0910  3 Ti 1.91-2.02
O19 0.4013 0.1058 0.4090  3 Ti 1.91-2.02
O20 0.4537 0.2926 0.5804  4 Ti 1.96-2.14
O21 0.4726 0.2768 0.9182  3 Ti 1.91-2.02
O22 0.4897 0.5103 0.2485  3 Ti 1.97-1.98
O23 0.5103 0.4897 0.7515  3 Ti 1.97-1.98
O24 0.5274 0.7232 0.0818  3 Ti 1.91-2.02
O25 0.5463 0.7074 0.4196  4 Ti 1.96-2.14
O26 0.5987 0.8942 0.5910  3 Ti 1.91-2.02
O27 0.6058 0.9013 0.9090  3 Ti 1.91-2.02
O28 0.6159 0.1200 0.2581  4 Ti 1.98-2.16
O29 0.6200 0.1159 0.7581  4 Ti 1.98-2.16
O30 0.6517 0.3483 0.4010  4 Ti 2.06-2.09
O31 0.7074 0.5463 0.5804  4 Ti 1.96-2.14
O32 0.7219 0.7781 0.2500  4 Ti 1.99-2.12
O33 0.7232 0.5274 0.9182  3 Ti 1.91-2.02
O34 0.7768 0.9726 0.4182  3 Ti 1.91-2.02
O35 0.7781 0.7219 0.7500  4 Ti 1.99-2.12
O36 0.7926 0.9537 0.0804  4 Ti 1.96-2.14
O37 0.8483 0.1517 0.9010  4 Ti 2.06-2.09
O38 0.8800 0.3841 0.2581  4 Ti 1.98-2.16
O39 0.8841 0.3800 0.7581  4 Ti 1.98-2.16
O40 0.8942 0.5987 0.4090  3 Ti 1.91-2.02
O41 0.9013 0.6058 0.0910  3 Ti 1.91-2.02
O42 0.9537 0.7926 0.9196  4 Ti 1.96-2.14
O43 0.9726 0.7768 0.5818  3 Ti 1.91-2.02
O44 0.9897 0.0103 0.2515  3 Ti 1.97-1.98

TiO2 | GGA-PBE | optimized geometry

Output
Space-group type: No. 225
DFT formation energy in eV/f.u.: -9.60
Crystal system: cubic
M_tot in μB/atom: 0.000

Lattice parameters (Å, degrees): 3.4224 3.4224 3.4224 60.00 60.00 60.00
Closest atoms and distances in Å follow each position.
Element x y z (fractional)
Ti1 0.0000 0.0000 0.0000  8 O 2.10
O1 0.2500 0.2500 0.2500  4 Ti 2.10
O2 0.7500 0.7500 0.7500  4 Ti 2.10